[1]
VASP calculation (r²SCAN) on a geometry-optimized K3TmF6 structure.

Output
**Total magnetic moment**: 0.000 μB/cell
**Formation energy**: -3.60 eV/atom
**Energy**: -10.795 eV per atom

Cell: 6.2348 6.5039 10.7735 Å, 90.00 124.44 90.00°
Last column: nearest neighbours and their distance in Å.
Space group P2_1/c (No. 14)
Unique sites:
1 K 0.0000 0.0000 0.0000 [2 per cell]  6 F 2.56-2.63
2 K 0.2293 0.0564 0.7460 [4 per cell]  5 F 2.62-2.91
3 Tm 0.5000 0.0000 0.5000 [2 per cell]  6 F 2.13-2.14
4 F 0.1713 0.1736 0.4504 [4 per cell]  1 Tm 2.13
5 F 0.2653 0.7291 0.4308 [4 per cell]  1 Tm 2.14
6 F 0.3896 0.0560 0.2765 [4 per cell]  1 Tm 2.13

[2]
VASP calculation (r²SCAN) on a geometry-optimized Tl2PdSe2 structure.

Output
**Total magnetic moment**: 0.000 μB/cell
**Formation energy**: -0.45 eV/atom
**Energy**: -32.035 eV per atom

Cell: 6.1564 11.4744 3.7070 Å, 90.00 90.00 90.00°
Last column: nearest neighbours and their distance in Å.
Space group Pbam (No. 55)
Unique sites:
1 Tl 0.1115 0.1530 0.0000 [4 per cell]  1 Pd 2.97, 4 Se 3.29-3.31
2 Pd 0.0000 0.5000 0.0000 [2 per cell]  4 Se 2.50
3 Se 0.1778 0.3896 0.5000 [4 per cell]  2 Pd 2.50

[3]
VASP calculation (r²SCAN) on a geometry-optimized SmGeRu structure.

Output
**Total magnetic moment**: 0.000 μB/cell
**Formation energy**: -0.75 eV/atom
**Energy**: -23.761 eV per atom

Cell: 4.3018 4.3018 6.6932 Å, 90.00 90.00 90.00°
Last column: nearest neighbours and their distance in Å.
Space group P4/nmm (No. 129, origin choice 2)
Unique sites:
1 Sm 0.2500 0.2500 0.1908 [2 per cell]  4 Ru 2.98, 5 Ge 3.13-3.30
2 Ge 0.2500 0.2500 0.6972 [2 per cell]  4 Ru 2.52
3 Ru 0.2500 0.7500 0.5000 [2 per cell]  4 Ge 2.52

Please write out number 1 again, unchanged.
VASP calculation (r²SCAN) on a geometry-optimized K3TmF6 structure.

Output
**Total magnetic moment**: 0.000 μB/cell
**Formation energy**: -3.60 eV/atom
**Energy**: -10.795 eV per atom

Cell: 6.2348 6.5039 10.7735 Å, 90.00 124.44 90.00°
Last column: nearest neighbours and their distance in Å.
Space group P2_1/c (No. 14)
Unique sites:
1 K 0.0000 0.0000 0.0000 [2 per cell]  6 F 2.56-2.63
2 K 0.2293 0.0564 0.7460 [4 per cell]  5 F 2.62-2.91
3 Tm 0.5000 0.0000 0.5000 [2 per cell]  6 F 2.13-2.14
4 F 0.1713 0.1736 0.4504 [4 per cell]  1 Tm 2.13
5 F 0.2653 0.7291 0.4308 [4 per cell]  1 Tm 2.14
6 F 0.3896 0.0560 0.2765 [4 per cell]  1 Tm 2.13

Question: Which of these has the lowest energy?
Answer: Tl2PdSe2